This record from Materials Project describes TmGePt after structural relaxation. The functional is PBE-GGA.

Values from the calculation:
As for the space-group type: Pnma, No. 62. Its crystal system is orthorhombic. The value obtained for the energy relative to the elements is -326.4 kJ/mol of formula units.

extended XYZ file:
```
12
Lattice="6.9719 0.0000 0.0000 0.0000 4.3218 0.0000 0.0000 0.0000 7.6316" Properties=species:S:1:pos:R:3 pbc="T T T"
Tm 0.0400 1.0805 1.5120
Tm 3.4459 3.2414 5.3278
Tm 3.5260 1.0805 2.3037
Tm 6.9319 3.2414 6.1195
Ge 1.2607 1.0805 4.4931
Ge 2.2253 3.2414 0.6773
Ge 4.7466 1.0805 6.9542
Ge 5.7112 3.2414 3.1384
Pt 1.4596 3.2414 3.1415
Pt 2.0263 1.0805 6.9573
Pt 4.9456 3.2414 0.6742
Pt 5.5123 1.0805 4.4900
```